Here is a relaxed structure of Li2CuGe from the Materials Project database. Energies are from PBE.

abc: 2.8162 2.8162 9.8153
angles: 81.75 90.00 120.00
Fractional positions:
Li: 0.4133 0.8265 0.7602
Li: 0.9944 0.9888 0.0168
Cu: 0.5892 0.1783 0.2325
Ge: 0.5032 0.0063 0.4905

- volume (Å³/atom) = 16.62
- SG = No. 160
- density (Mg/m³) = 3.7
- energy relative to the elements (eV/atom) = 0.1426



Here is a relaxed structure of Li2CuGe from the Materials Project database. Energies are from PBE.

abc: 4.2126 4.2126 4.2126
angles: 60.00 60.00 60.00
Fractional positions:
Li: 0.2500 0.2500 0.2500
Li: 0.5000 0.5000 0.5000
Ge: 0.0000 0.0000 0.0000
Cu: 0.7500 0.7500 0.7500

- volume (Å³/atom) = 13.22
- SG = No. 216
- density (Mg/m³) = 4.7
- energy relative to the elements (eV/atom) = -0.3198



Here is a relaxed structure of Li2CuGe from the Materials Project database. Energies are from PBE.

abc: 4.2164 4.2837 5.8234
angles: 90.00 90.00 90.00
Fractional positions:
Li: 0.5000 0.2857 0.9376
Li: 0.0000 0.2174 0.6875
Li: 0.5000 0.7826 0.1875
Li: 0.0000 0.7143 0.4376
Cu: 0.5000 0.2725 0.4362
Cu: 0.0000 0.7275 0.9362
Ge: 0.0000 0.2283 0.1887
Ge: 0.5000 0.7717 0.6887

- volume (Å³/atom) = 13.15
- SG = No. 31
- density (Mg/m³) = 4.7
- energy relative to the elements (eV/atom) = -0.3114



Here is a relaxed structure of LuCuGe from the Materials Project database. Energies are from PBE.

abc: 4.1985 4.2005 3.6151
angles: 90.00 90.00 120.01
Fractional positions:
Ge: 0.6666 0.3333 0.5000
Lu: 0.9998 0.9999 0.0000
Cu: 0.3335 0.6668 0.5000

- volume (Å³/atom) = 18.40
- SG = No. 187
- density (Mg/m³) = 9.4
- energy relative to the elements (eV/atom) = -0.6105



Here is a relaxed structure of Lu3Cu4Ge4 from the Materials Project database. Energies are from PBE.

abc: 4.1154 6.5385 7.8394
angles: 114.65 105.22 90.00
Fractional positions:
Ge: 0.5000 0.8077 0.0000
Ge: 0.2145 0.7145 0.4289
Ge: 0.5000 0.1923 0.0000
Ge: 0.7855 0.2855 0.5711
Lu: 0.0000 0.5000 0.0000
Lu: 0.8706 0.8706 0.7412
Lu: 0.1294 0.1294 0.2588
Cu: 0.6691 0.4776 0.3381
Cu: 0.6691 0.8605 0.3381
Cu: 0.3309 0.1395 0.6619
Cu: 0.3309 0.5224 0.6619

- volume (Å³/atom) = 16.69
- SG = No. 71
- density (Mg/m³) = 9.7
- energy relative to the elements (eV/atom) = -0.5950



Here is a relaxed structure of LuCuGe from the Materials Project database. Energies are from PBE.

abc: 4.3147 4.3147 7.1595
angles: 90.00 90.00 120.00
Fractional positions:
Cu: 0.3333 0.6667 0.0211
Cu: 0.6667 0.3333 0.9789
Ge: 0.6667 0.3333 0.5477
Ge: 0.3333 0.6667 0.4523
Lu: 0.0000 0.0000 0.2287
Lu: 0.0000 0.0000 0.7713

- volume (Å³/atom) = 19.24
- SG = No. 164
- density (Mg/m³) = 9.0
- energy relative to the elements (eV/atom) = -0.3260



Here is a relaxed structure of Mg3Cu2Ge3O12 from the Materials Project database. Energies are from PBE.

abc: 10.3834 10.3834 10.3834
angles: 109.47 109.47 109.47
Fractional positions:
Mg: 0.1250 0.3750 0.7500
Mg: 0.8750 0.7500 0.6250
Mg: 0.8750 0.6250 0.2500
Mg: 0.6250 0.2500 0.8750
Mg: 0.3750 0.7500 0.1250
Mg: 0.6250 0.8750 0.7500
Mg: 0.7500 0.1250 0.3750
Mg: 0.2500 0.3750 0.1250
Mg: 0.3750 0.1250 0.2500
Mg: 0.1250 0.2500 0.3750
Mg: 0.2500 0.8750 0.6250
Mg: 0.7500 0.6250 0.8750
Ge: 0.1250 0.7500 0.8750
Ge: 0.2500 0.1250 0.8750
Ge: 0.6250 0.7500 0.3750
Ge: 0.3750 0.2500 0.6250
Ge: 0.7500 0.8750 0.1250
Ge: 0.8750 0.1250 0.7500
Ge: 0.1250 0.8750 0.2500
Ge: 0.2500 0.6250 0.3750
Ge: 0.3750 0.6250 0.7500
Ge: 0.6250 0.3750 0.2500
Ge: 0.7500 0.3750 0.6250
Ge: 0.8750 0.2500 0.1250
O: 0.5815 0.1807 0.2104
O: 0.7896 0.4185 0.8193
O: 0.3193 0.9008 0.0297
O: 0.2104 0.1289 0.0297
O: 0.2896 0.3193 0.9185
O: 0.4008 0.8193 0.5297
O: 0.1289 0.0297 0.2104
O: 0.5297 0.4008 0.8193
O: 0.4185 0.8193 0.7896
O: 0.7104 0.5297 0.6289
O: 0.5815 0.9008 0.3711
O: 0.9185 0.1289 0.5992
O: 0.6807 0.0815 0.7104
O: 0.6807 0.0992 0.9703
O: 0.1807 0.2104 0.5815
O: 0.9008 0.3711 0.5815
O: 0.0992 0.9703 0.6807
O: 0.8711 0.9703 0.7896
O: 0.0297 0.3193 0.9008
O: 0.9703 0.6807 0.0992
O: 0.5297 0.6289 0.7104
O: 0.4703 0.5992 0.1807
O: 0.8193 0.5297 0.4008
O: 0.9008 0.0297 0.3193
O: 0.7104 0.6807 0.0815
O: 0.3193 0.9185 0.2896
O: 0.9703 0.7896 0.8711
O: 0.4008 0.0815 0.8711
O: 0.4703 0.3711 0.2896
O: 0.4185 0.0992 0.6289
O: 0.8193 0.7896 0.4185
O: 0.9185 0.2896 0.3193
O: 0.0815 0.7104 0.6807
O: 0.6289 0.4185 0.0992
O: 0.7896 0.8711 0.9703
O: 0.2104 0.5815 0.1807
O: 0.0815 0.8711 0.4008
O: 0.5992 0.9185 0.1289
O: 0.0992 0.6289 0.4185
O: 0.6289 0.7104 0.5297
O: 0.5992 0.1807 0.4703
O: 0.8711 0.4008 0.0815
O: 0.0297 0.2104 0.1289
O: 0.1807 0.4703 0.5992
O: 0.1289 0.5992 0.9185
O: 0.3711 0.5815 0.9008
O: 0.3711 0.2896 0.4703
O: 0.2896 0.4703 0.3711
Cu: 0.0000 0.5000 0.5000
Cu: 0.0000 0.0000 0.5000
Cu: 0.0000 0.0000 0.0000
Cu: 0.5000 0.5000 0.5000
Cu: 0.5000 0.5000 0.0000
Cu: 0.5000 0.0000 0.0000
Cu: 0.5000 0.0000 0.5000
Cu: 0.0000 0.5000 0.0000

- volume (Å³/atom) = 10.77
- SG = No. 230
- density (Mg/m³) = 4.7
- energy relative to the elements (eV/atom) = -2.0203



Here is a relaxed structure of MgCu2Ge2O6 from the Materials Project database. Energies are from PBE.

abc: 3.1050 5.2597 9.0545
angles: 90.00 90.00 90.00
Fractional positions:
Ge: 0.5000 0.0926 0.2500
Ge: 0.5000 0.9347 0.7500
O: 0.0000 0.1303 0.7500
O: 0.5000 0.6801 0.6107
O: 0.5000 0.2888 0.4094
O: 0.0000 0.8989 0.2500
O: 0.5000 0.2888 0.0906
O: 0.5000 0.6801 0.8893
Mg: 0.0000 0.5052 0.7500
Cu: 0.0000 0.5065 0.4441
Cu: 0.0000 0.5065 0.0559

- volume (Å³/atom) = 13.44
- SG = No. 25
- density (Mg/m³) = 4.4
- energy relative to the elements (eV/atom) = -1.5443



Here is a relaxed structure of MgCu4Ge2O8 from the Materials Project database. Energies are from PBE.

abc: 5.8026 5.4764 7.2985
angles: 111.91 113.13 89.86
Fractional positions:
O: 0.1917 0.7073 0.9135
O: 0.7174 0.7268 0.4313
O: 0.2902 0.3032 0.1060
O: 0.2866 0.2868 0.5723
O: 0.8209 0.3021 0.1051
O: 0.7177 0.2058 0.4331
O: 0.7179 0.7075 0.9150
O: 0.2865 0.7872 0.5718
Cu: 0.5142 0.0067 0.5130
Cu: 0.9688 0.9802 0.9411
Cu: 0.0005 0.0073 0.5139
Cu: 0.9685 0.4591 0.9380
Mg: 0.1687 0.4195 0.3356
Ge: 0.6297 0.3786 0.2570
Ge: 0.3874 0.6384 0.7762

- volume (Å³/atom) = 13.00
- SG = No. 1
- density (Mg/m³) = 4.7
- energy relative to the elements (eV/atom) = -1.4373



Here is a relaxed structure of MgCu2Ge2O6 from the Materials Project database. Energies are from PBE.

abc: 3.1154 5.4563 8.4905
angles: 90.00 90.00 90.00
Fractional positions:
Ge: 0.5000 0.9024 0.7500
Ge: 0.5000 0.0971 0.2500
O: 0.5000 0.3193 0.0908
O: 0.5000 0.7116 0.9195
O: 0.5000 0.3193 0.4092
O: 0.0000 0.8703 0.2500
O: 0.0000 0.0832 0.7500
O: 0.5000 0.7116 0.5805
Cu: 0.0000 0.4971 0.9653
Cu: 0.0000 0.4971 0.5347
Mg: 0.5000 0.6034 0.2500

- volume (Å³/atom) = 13.12
- SG = No. 25
- density (Mg/m³) = 4.5
- energy relative to the elements (eV/atom) = -1.5417



Here is a relaxed structure of MgCu2Ge2O6 from the Materials Project database. Energies are from PBE.

abc: 3.0999 5.5568 8.4290
angles: 83.73 90.00 90.00
Fractional positions:
Ge: 0.5000 0.8996 0.7176
Ge: 0.5000 0.1004 0.2824
O: 0.5000 0.7037 0.5706
O: 0.5000 0.7697 0.9315
O: 0.5000 0.2963 0.4294
O: 0.0000 0.0779 0.7418
O: 0.5000 0.2303 0.0685
O: 0.0000 0.9221 0.2582
Cu: 0.0000 0.5000 0.0000
Cu: 0.0000 0.5000 0.5000
Mg: 0.0000 0.0000 0.0000

- volume (Å³/atom) = 13.12
- SG = No. 10
- density (Mg/m³) = 4.5
- energy relative to the elements (eV/atom) = -1.6492



Here is a relaxed structure of MgCu4Ge2O8 from the Materials Project database. Energies are from PBE.

abc: 5.5161 5.7269 7.6740
angles: 118.74 111.06 90.00
Fractional positions:
Cu: 0.5000 0.0000 0.5000
Cu: 0.0000 0.0000 0.0000
Cu: 0.0000 0.0000 0.5000
Cu: 0.0000 0.5000 0.0000
Mg: 0.5000 0.5000 0.0000
O: 0.7078 0.7132 0.9205
O: 0.7209 0.2206 0.4418
O: 0.2922 0.2868 0.0795
O: 0.2127 0.7132 0.9205
O: 0.6819 0.7173 0.3639
O: 0.2791 0.7794 0.5582
O: 0.7873 0.2868 0.0795
O: 0.3181 0.2827 0.6361
Ge: 0.3633 0.6465 0.7266
Ge: 0.6367 0.3535 0.2734

- volume (Å³/atom) = 12.93
- SG = No. 12
- density (Mg/m³) = 4.7
- energy relative to the elements (eV/atom) = -1.3928



Here is a relaxed structure of Tb2MgCuGe4O12 from the Materials Project database. Energies are from PBE.

abc: 5.3678 7.3103 7.6518
angles: 68.33 88.82 79.50
Fractional positions:
Tb: 0.0495 0.7656 0.4235
Tb: 0.9742 0.2208 0.5578
O: 0.7322 0.9814 0.2051
O: 0.7362 0.6777 0.9971
O: 0.2989 0.3304 0.0109
O: 0.7199 0.2629 0.7807
O: 0.2406 0.0599 0.3812
O: 0.2009 0.0028 0.8335
O: 0.2646 0.6749 0.1853
O: 0.8622 0.8747 0.6469
O: 0.3752 0.6737 0.7352
O: 0.6387 0.3053 0.3076
O: 0.2131 0.4290 0.5984
O: 0.7764 0.5700 0.4072
Ge: 0.4724 0.1560 0.2260
Ge: 0.5908 0.5795 0.2186
Ge: 0.5490 0.8733 0.7652
Ge: 0.4260 0.4060 0.7785
Cu: 0.9619 0.0679 0.0041
Mg: 0.0924 0.7270 0.9204

- volume (Å³/atom) = 13.70
- SG = No. 1
- density (Mg/m³) = 5.4
- energy relative to the elements (eV/atom) = -2.4606



Here is a relaxed structure of Tb2MgCuGe4O12 from the Materials Project database. Energies are from PBE.

abc: 5.2487 7.5728 8.1559
angles: 65.19 87.72 77.17
Fractional positions:
O: 0.1719 0.4420 0.6252
O: 0.7025 0.2075 0.8054
O: 0.4379 0.6657 0.6865
O: 0.7061 0.9907 0.2166
O: 0.2939 0.0093 0.7834
O: 0.2975 0.7925 0.1946
O: 0.5621 0.3343 0.3135
O: 0.2932 0.2766 0.0127
O: 0.1990 0.0750 0.3931
O: 0.8281 0.5580 0.3748
O: 0.7068 0.7234 0.9873
O: 0.8010 0.9250 0.6069
Ge: 0.5841 0.5952 0.2143
Ge: 0.4159 0.4048 0.7857
Ge: 0.4415 0.1678 0.2474
Ge: 0.5585 0.8322 0.7526
Tb: 0.9666 0.2231 0.5659
Tb: 0.0334 0.7769 0.4341
Mg: 0.5000 0.0000 0.0000
Cu: 0.0000 0.0000 0.0000

- volume (Å³/atom) = 14.32
- SG = No. 2
- density (Mg/m³) = 5.2
- energy relative to the elements (eV/atom) = -2.4212



Here is a relaxed structure of MgCu2GeS4 from the Materials Project database. Energies are from PBE.

abc: 5.4644 5.4644 6.5256
angles: 114.70 114.70 90.00
Fractional positions:
S: 0.1444 0.6122 0.7104
S: 0.4111 0.4111 0.2361
S: 0.6122 0.1444 0.7104
S: 0.8764 0.8764 0.2288
Cu: 0.2552 0.7602 0.4713
Cu: 0.7602 0.2552 0.4713
Ge: 0.5123 0.5123 0.9719
Mg: 0.0157 0.0157 0.9706

- volume (Å³/atom) = 19.65
- SG = No. 8
- density (Mg/m³) = 3.7
- energy relative to the elements (eV/atom) = -0.8480



Here is a relaxed structure of MgCu2GeS4 from the Materials Project database. Energies are from PBE.

abc: 5.7568 5.7568 6.4182
angles: 115.96 115.96 91.36
Fractional positions:
S: 0.5638 0.1427 0.7071
S: 0.1427 0.5638 0.7071
S: 0.8552 0.8552 0.2586
S: 0.4017 0.4017 0.2582
Cu: 0.7395 0.2396 0.4797
Cu: 0.2396 0.7395 0.4797
Ge: 0.4989 0.4989 0.9993
Mg: 0.8211 0.8211 0.6416

- volume (Å³/atom) = 20.72
- SG = No. 8
- density (Mg/m³) = 3.5
- energy relative to the elements (eV/atom) = -0.7192



Here is a relaxed structure of MgCu2GeS4 from the Materials Project database. Energies are from PBE.

abc: 6.2723 6.5462 7.6631
angles: 90.00 90.00 90.00
Fractional positions:
Mg: 0.9974 0.6602 0.5000
Mg: 0.4974 0.3398 0.0000
Ge: 0.4988 0.3245 0.5000
Ge: 0.9988 0.6755 0.0000
S: 0.8604 0.3097 0.5000
S: 0.3710 0.1564 0.7366
S: 0.3604 0.6903 0.0000
S: 0.3915 0.6550 0.5000
S: 0.8915 0.3450 0.0000
S: 0.8710 0.8436 0.2366
S: 0.8710 0.8436 0.7634
S: 0.3710 0.1564 0.2634
Cu: 0.5049 0.8244 0.7486
Cu: 0.0049 0.1756 0.7514
Cu: 0.0049 0.1756 0.2486
Cu: 0.5049 0.8244 0.2514

- volume (Å³/atom) = 19.67
- SG = No. 31
- density (Mg/m³) = 3.7
- energy relative to the elements (eV/atom) = -0.8478



Here is a relaxed structure of MgCu2GeS4 from the Materials Project database. Energies are from PBE.

abc: 5.9087 5.3270 6.6004
angles: 113.80 116.59 90.00
Fractional positions:
S: 0.1437 0.6088 0.7463
S: 0.3974 0.3912 0.2537
S: 0.8563 0.8625 0.2537
S: 0.6026 0.1375 0.7463
Ge: 0.5000 0.5000 0.0000
Cu: 0.2542 0.7542 0.5083
Cu: 0.7458 0.2458 0.4917
Mg: 0.0000 0.5000 0.0000

- volume (Å³/atom) = 20.72
- SG = No. 23
- density (Mg/m³) = 3.5
- energy relative to the elements (eV/atom) = -0.6951



Here is a relaxed structure of MgCu2GeS4 from the Materials Project database. Energies are from PBE.

abc: 5.4765 5.4765 6.5342
angles: 114.78 114.78 90.00
Fractional positions:
Mg: 0.0000 0.0000 0.0000
S: 0.6037 0.1354 0.7391
S: 0.3963 0.3963 0.2609
S: 0.1354 0.6037 0.7391
S: 0.8646 0.8646 0.2609
Cu: 0.7500 0.2500 0.5000
Cu: 0.2500 0.7500 0.5000
Ge: 0.5000 0.5000 0.0000

- volume (Å³/atom) = 19.73
- SG = No. 121
- density (Mg/m³) = 3.7
- energy relative to the elements (eV/atom) = -0.8486